Entry 1:
! PBE Y2Nb3Ge4, relaxed; values from VASP
! calculated formation energy: -745 meV per atom
! space group: Pnma (62)
&SYSTEM
  ibrav = 0, nat = 36, ntyp = 3
/
ATOMIC_SPECIES
Y 88.91 Y.upf
Nb 92.91 Nb.upf
Ge 72.64 Ge.upf
CELL_PARAMETERS angstrom
7.028 0.000 0.000
0.000 13.626 0.000
0.000 0.000 7.202
ATOMIC_POSITIONS crystal
Y 0.003 0.095 0.174
Y 0.003 0.405 0.174
Y 0.497 0.595 0.674
Y 0.497 0.905 0.674
Y 0.503 0.095 0.326
Y 0.503 0.405 0.326
Y 0.997 0.595 0.826
Y 0.997 0.905 0.826
Nb 0.160 0.627 0.329
Nb 0.160 0.873 0.329
Nb 0.164 0.250 0.512
Nb 0.336 0.750 0.012
Nb 0.340 0.127 0.829
Nb 0.340 0.373 0.829
Nb 0.660 0.627 0.171
Nb 0.660 0.873 0.171
Nb 0.664 0.250 0.988
Nb 0.836 0.750 0.488
Nb 0.840 0.127 0.671
Nb 0.840 0.373 0.671
Ge 0.040 0.250 0.877
Ge 0.174 0.042 0.539
Ge 0.174 0.458 0.539
Ge 0.195 0.750 0.637
Ge 0.305 0.250 0.137
Ge 0.326 0.542 0.039
Ge 0.326 0.958 0.039
Ge 0.460 0.750 0.377
Ge 0.540 0.250 0.623
Ge 0.674 0.042 0.961
Ge 0.674 0.458 0.961
Ge 0.695 0.750 0.863
Ge 0.805 0.250 0.363
Ge 0.826 0.542 0.461
Ge 0.826 0.958 0.461
Ge 0.960 0.750 0.123

=====

Entry 2:
! PBE Zr2Nb3Ge4, relaxed; values from VASP
! calculated formation energy: -533 meV per atom
! space group: Pnma (62)
&SYSTEM
  ibrav = 0, nat = 36, ntyp = 3
/
ATOMIC_SPECIES
Zr 91.22 Zr.upf
Nb 92.91 Nb.upf
Ge 72.64 Ge.upf
CELL_PARAMETERS angstrom
6.875 0.000 0.000
0.000 13.535 0.000
0.000 0.000 6.985
ATOMIC_POSITIONS crystal
Zr 0.152 0.124 0.166
Zr 0.152 0.376 0.166
Zr 0.348 0.624 0.666
Zr 0.348 0.876 0.666
Zr 0.652 0.124 0.334
Zr 0.652 0.376 0.334
Zr 0.848 0.624 0.834
Zr 0.848 0.876 0.834
Nb 0.020 0.591 0.322
Nb 0.020 0.909 0.322
Nb 0.174 0.750 0.996
Nb 0.326 0.250 0.496
Nb 0.480 0.091 0.822
Nb 0.480 0.409 0.822
Nb 0.520 0.591 0.178
Nb 0.520 0.909 0.178
Nb 0.674 0.750 0.504
Nb 0.826 0.250 0.004
Nb 0.980 0.091 0.678
Nb 0.980 0.409 0.678
Ge 0.044 0.750 0.597
Ge 0.181 0.250 0.841
Ge 0.196 0.542 0.974
Ge 0.196 0.958 0.974
Ge 0.304 0.042 0.474
Ge 0.304 0.458 0.474
Ge 0.319 0.750 0.341
Ge 0.456 0.250 0.097
Ge 0.544 0.750 0.903
Ge 0.681 0.250 0.659
Ge 0.696 0.542 0.526
Ge 0.696 0.958 0.526
Ge 0.804 0.042 0.026
Ge 0.804 0.458 0.026
Ge 0.819 0.750 0.159
Ge 0.956 0.250 0.403

=====

Entry 3:
! PBE NdGe3, relaxed; values from VASP
! calculated formation energy: -404 meV per atom
! space group: Pm-3m (221)
&SYSTEM
  ibrav = 0, nat = 4, ntyp = 2
/
ATOMIC_SPECIES
Nd 144.24 Nd.upf
Ge 72.64 Ge.upf
CELL_PARAMETERS angstrom
4.400 0.000 0.000
0.000 4.400 0.000
0.000 0.000 4.400
ATOMIC_POSITIONS crystal
Nd 0.000 0.000 0.000
Ge 0.000 0.500 0.500
Ge 0.500 0.000 0.500
Ge 0.500 0.500 0.000

=====

- Among the records above, which one has the lowest calculated formation energy?
  Y2Nb3Ge4